1.
Material: Li3RhF6
Method: DFT, PBE
State: relaxed

```
data_Li3RhF6
_chemical_formula_sum 'Li3 Rh1 F6'
_cell_length_a 5.806
_cell_length_b 6.463
_cell_length_c 7.286
_cell_angle_alpha 82.68
_cell_angle_beta 81.14
_cell_angle_gamma 72.50
_space_group_name_H-M_alt 'P -1'
_space_group_IT_number 2
loop_
_space_group_symop_operation_xyz
'x,y,z'
'-x,-y,-z'
loop_
_atom_site_label
_atom_site_type_symbol
_atom_site_fract_x
_atom_site_fract_y
_atom_site_fract_z
_atom_site_occupancy
Li1 Li 0.000 0.000 0.000 1
Li2 Li 0.000 0.500 0.000 1
Li3 Li 0.500 0.000 0.500 1
Rh1 Rh 0.500 0.000 0.000 1
F1 F 0.166 0.219 0.003 1
F2 F 0.309 0.789 0.991 1
F3 F 0.452 0.965 0.280 1
```

Calculated values
Relative energy among the computed polymorphs   0.066 eV/atom
Calculated formation energy   -2.47 eV per atom
Corrected total energy (MP2020 scheme)   -49.3 eV/cell



2.
Material: Li3RhF6
Method: DFT, PBE
State: relaxed

```
data_Li3RhF6
_chemical_formula_sum 'Li12 Rh4 F24'
_cell_length_a 7.879
_cell_length_b 7.879
_cell_length_c 7.879
_cell_angle_alpha 90.00
_cell_angle_beta 90.00
_cell_angle_gamma 90.00
_space_group_name_H-M_alt 'F m -3 m'
_space_group_IT_number 225
_space_group_name_Hall '-F 4 2 3'
loop_
_atom_site_label
_atom_site_type_symbol
_atom_site_fract_x
_atom_site_fract_y
_atom_site_fract_z
_atom_site_occupancy
Li1 Li 0.000 0.000 0.000 1
Li2 Li 0.250 0.250 0.250 1
Rh1 Rh 0.000 0.000 0.500 1
F1 F 0.000 0.000 0.248 1
```

Calculated values
Relative energy among the computed polymorphs   0.088 eV/atom
Calculated formation energy   -2.45 eV per atom
Corrected total energy (MP2020 scheme)   -196.2 eV/cell